The following is a DFT calculation (GGA-PBE) of a relaxed PrSi2Ag2 crystal.

Summary:
* calculated formation energy: -42.4 kJ per mole of atoms

Lattice parameters (Å, degrees): 4.271 4.271 10.756 90.00 90.00 90.00
Space group I4/mmm (No. 139)
Unique sites:
Pr1 0.000 0.000 0.000
Si1 0.000 0.000 0.391
Ag1 0.000 0.500 0.250

=====

The following is a DFT calculation (GGA-PBE) of a relaxed Na3TaF6 crystal.

Summary:
* calculated formation energy: -269.3 kJ per mole of atoms
* corrected total energy (MP2020 scheme): -220.9 eV for the cell shown

Lattice parameters (Å, degrees): 8.584 8.584 8.584 90.00 90.00 90.00
Space group Fm-3m (No. 225)
Unique sites:
Na1 0.000 0.000 0.000
Na2 0.250 0.250 0.250
Ta1 0.000 0.000 0.500
F1 0.000 0.000 0.260

=====

The following is a DFT calculation (GGA-PBE) of a relaxed LiAgF6 crystal.

Summary:
* calculated formation energy: -146.1 kJ per mole of atoms
* corrected total energy (MP2020 scheme): -226.7 eV for the cell shown

Lattice parameters (Å, degrees): 9.350 9.350 9.350 90.00 90.00 90.00
Space group Ia-3 (No. 206)
Unique sites:
Li1 0.000 0.000 0.000
Ag1 0.250 0.250 0.250
F1 0.097 0.125 0.319

=====

The following is a DFT calculation (GGA-PBE) of a relaxed Hg3Sb crystal.

Summary:
* calculated formation energy: 12.1 kJ per mole of atoms
* corrected total energy (MP2020 scheme): -9.1 eV for the cell shown
* energy above the lowest structure with this stoichiometry: 0.08 eV per formula unit

Lattice parameters (Å, degrees): 6.4791 6.4791 5.7786 90.00 90.00 120.00
Space group P6_3/mmc (No. 194)
Unique sites:
Hg1 0.1677 0.3355 0.2500
Sb1 0.3333 0.6667 0.7500

=====

The following is a DFT calculation (GGA-PBE) of a relaxed K3U2I7O26 crystal.

Summary:
* calculated formation energy: -149.2 kJ per mole of atoms
* corrected total energy (MP2020 scheme): -447.9 eV for the cell shown

Lattice parameters (Å, degrees): 7.152 14.815 15.119 61.01 81.61 87.23
Space group P-1 (No. 2)
Unique sites:
K1 0.067 0.379 0.096
K2 0.226 0.260 0.665
K3 0.431 0.133 0.270
U1 0.150 0.331 0.379
U2 0.284 0.190 0.963
I1 0.130 0.607 0.162
I2 0.159 0.031 0.568
I3 0.238 0.929 0.915
I4 0.258 0.905 0.191
I5 0.289 0.606 0.422
I6 0.343 0.800 0.533
I7 0.378 0.482 0.784
O1 0.008 0.919 0.228
O2 0.013 0.481 0.257
O3 0.031 0.869 0.014
O4 0.063 0.166 0.518
O5 0.105 0.330 0.845
O6 0.125 0.386 0.466
O7 0.137 0.643 0.322
O8 0.150 0.594 0.049
O9 0.178 0.277 0.292
O10 0.184 0.683 0.601
O11 0.194 0.026 0.449
O12 0.215 0.210 0.073
O13 0.223 0.876 0.832
O14 0.282 0.530 0.871
O15 0.289 0.009 0.054
O16 0.302 0.841 0.629
O17 0.357 0.168 0.854
O18 0.369 0.735 0.391
O19 0.375 0.466 0.248
O20 0.384 0.969 0.241
O21 0.395 0.060 0.582
O22 0.407 0.838 0.997
O23 0.443 0.276 0.429
O24 0.454 0.352 0.877
O25 0.484 0.351 0.106
O26 0.493 0.437 0.626

=====

The following is a DFT calculation (GGA-PBE) of a relaxed Ho6FeSb2 crystal.

Summary:
* calculated formation energy: -57.0 kJ per mole of atoms
* corrected total energy (MP2020 scheme): -49.5 eV for the cell shown

Lattice parameters (Å, degrees): 8.1843 8.1843 4.1288 90.00 90.00 120.00
Space group P-62m (No. 189)
Unique sites:
Ho1 0.0000 0.2342 0.0000
Ho2 0.0000 0.6025 0.5000
Fe1 0.0000 0.0000 0.5000
Sb1 0.3333 0.6667 0.0000

=====

The following is a DFT calculation (GGA-PBE) of a relaxed CrAgTe2 crystal.

Summary:
* calculated formation energy: -33.7 kJ per mole of atoms
* corrected total energy (MP2020 scheme): -60.5 eV for the cell shown

Lattice parameters (Å, degrees): 4.1090 4.1090 21.8095 90.00 90.00 120.00
Space group R3m (No. 160, hexagonal axes)
Unique sites:
Cr1 0.0000 0.0000 0.0000
Ag1 0.0000 0.0000 0.8551
Te1 0.0000 0.0000 0.2655
Te2 0.0000 0.0000 0.7304

=====

The following is a DFT calculation (GGA-PBE) of a relaxed MgAg4Ru4O12 crystal.

Summary:
* calculated formation energy: -96.2 kJ per mole of atoms
* corrected total energy (MP2020 scheme): -260.7 eV for the cell shown
* energy above the lowest structure with this stoichiometry: 2.16 eV per formula unit

Lattice parameters (Å, degrees): 7.228 7.247 10.235 90.00 90.00 90.00
Space group Imm2 (No. 44)
Unique sites:
Mg1 0.000 0.000 0.000
Ag1 0.000 0.303 0.853
Ag2 0.199 0.500 0.655
Ru1 0.000 0.249 0.380
Ru2 0.250 0.000 0.629
O1 0.000 0.000 0.307
O2 0.000 0.000 0.704
O3 0.000 0.500 0.059
O4 0.000 0.500 0.451
O5 0.196 0.304 0.255
O6 0.199 0.198 0.505

=====

The following is a DFT calculation (GGA-PBE) of a relaxed NdIn crystal.

Summary:
* calculated formation energy: -47.2 kJ per mole of atoms

Lattice parameters (Å, degrees): 3.882 3.882 3.882 90.00 90.00 90.00
Space group Pm-3m (No. 221)
Unique sites:
Nd1 0.000 0.000 0.000
In1 0.500 0.500 0.500

=====

The following is a DFT calculation (GGA-PBE) of a relaxed Nd2Pt2O7 crystal.

Summary:
* calculated formation energy: -226.6 kJ per mole of atoms
* corrected total energy (MP2020 scheme): -657.2 eV for the cell shown

Lattice parameters (Å, degrees): 10.520 10.520 10.520 90.00 90.00 90.00
Space group Fd-3m (No. 227, origin choice 2)
Unique sites:
Nd1 0.000 0.000 0.000
Pt1 0.000 0.000 0.500
O1 0.086 0.375 0.875
O2 0.125 0.125 0.125

=====

The following is a DFT calculation (GGA-PBE) of a relaxed Lu5Sc5Si20Ir8 crystal.

Summary:
* calculated formation energy: -82.2 kJ per mole of atoms

Lattice parameters (Å, degrees): 4.166 17.660 17.662 90.00 90.00 90.00
Space group Amm2 (No. 38)
Unique sites:
Lu1 0.000 0.000 0.000
Lu2 0.000 0.000 0.210
Lu3 0.000 0.000 0.651
Lu4 0.000 0.175 0.326
Sc1 0.000 0.000 0.442
Sc2 0.000 0.116 0.826
Sc3 0.500 0.250 0.076
Si1 0.000 0.173 0.001
Si2 0.000 0.173 0.651
Si3 0.000 0.176 0.153
Si4 0.000 0.176 0.499
Si5 0.500 0.000 0.761
Si6 0.500 0.000 0.891
Si7 0.500 0.066 0.327
Si8 0.500 0.067 0.094
Si9 0.500 0.067 0.557
Si10 0.500 0.231 0.759
Si11 0.500 0.231 0.893
Ir1 0.500 0.117 0.689
Ir2 0.500 0.117 0.963
Ir3 0.500 0.137 0.444
Ir4 0.500 0.138 0.208

=====

The following is a DFT calculation (GGA-PBE) of a relaxed Ho2MgS4 crystal.

Summary:
* calculated formation energy: -209.8 kJ per mole of atoms
* corrected total energy (MP2020 scheme): -340.3 eV for the cell shown
* energy above the lowest structure with this stoichiometry: 0.00 eV per formula unit

Lattice parameters (Å, degrees): 11.136 11.136 11.136 90.00 90.00 90.00
Space group Fd-3m (No. 227, origin choice 2)
Unique sites:
Ho1 0.000 0.000 0.000
Mg1 0.125 0.125 0.625
S1 0.005 0.005 0.245

=====

The following is a DFT calculation (GGA-PBE) of a relaxed Cu2O3 crystal.

Summary:
* calculated formation energy: -75.9 kJ per mole of atoms
* corrected total energy (MP2020 scheme): -107.9 eV for the cell shown

Lattice parameters (Å, degrees): 7.757 3.600 10.420 90.00 112.10 90.00
Space group P2_1/c (No. 14)
Unique sites:
Cu1 0.015 0.000 0.373
Cu2 0.362 0.249 0.759
O1 0.134 0.204 0.545
O2 0.145 0.196 0.797
O3 0.429 0.747 0.792

=====

The following is a DFT calculation (GGA-PBE) of a relaxed Ca3Tl4O9 crystal.

Summary:
* calculated formation energy: -186.6 kJ per mole of atoms
* corrected total energy (MP2020 scheme): -363.8 eV for the cell shown

Lattice parameters (Å, degrees): 12.498 6.757 11.287 90.00 102.54 90.00
Space group P2_1/c (No. 14)
Unique sites:
Ca1 0.128 0.124 0.014
Ca2 0.286 0.623 0.800
Ca3 0.293 0.128 0.802
Tl1 0.000 0.126 0.252
Tl2 0.129 0.628 0.010
Tl3 0.435 0.125 0.101
Tl4 0.437 0.625 0.099
O1 0.047 0.123 0.617
O2 0.054 0.629 0.621
O3 0.162 0.626 0.375
O4 0.163 0.121 0.376
O5 0.280 0.624 0.155
O6 0.283 0.126 0.159
O7 0.397 0.123 0.445
O8 0.399 0.627 0.443
O9 0.499 0.125 0.751